Entry from the Materials Project: an optimized crystal structure of CdGeO3 (PBE). Values from VASP.

Summary:
The size of the total moment is 0.0 μB/f.u. Its formation energy is -1.769 eV per atom. The density comes out at 4.996 g cm⁻³. Its crystal system is orthorhombic. The largest piezoelectric modulus comes out at 75.0 C/m². As for the corrected total energy (MP2020 scheme): -58.5 eV/cell. The value obtained for the total energy is -5.435 eV/atom.

Geometry as Quantum ESPRESSO input:
```
&SYSTEM
  ibrav = 0, nat = 10, ntyp = 3
/
ATOMIC_SPECIES
Cd 112.41 Cd.upf
Ge 72.64 Ge.upf
O 16.00 O.upf
CELL_PARAMETERS angstrom
2.734 -5.420 0.000
2.734 5.420 0.000
0.000 0.000 5.228
ATOMIC_POSITIONS crystal
Cd 0.116 0.884 0.243
Cd 0.884 0.116 0.743
Ge 0.441 0.559 0.314
Ge 0.559 0.441 0.814
O 0.261 0.290 0.050
O 0.710 0.739 0.050
O 0.290 0.710 0.412
O 0.290 0.261 0.550
O 0.739 0.710 0.550
O 0.710 0.290 0.912
```

Entry from the Materials Project: an optimized crystal structure of Dy2As7Rh12 (PBE). Values from VASP.

Summary:
Its formation energy is -0.691 eV per atom. The density comes out at 10.232 g cm⁻³. Its crystal system is trigonal. The value obtained for the total energy is -6.891 eV/atom.

Geometry as Quantum ESPRESSO input:
```
&SYSTEM
  ibrav = 0, nat = 21, ntyp = 3
/
ATOMIC_SPECIES
Dy 162.50 Dy.upf
As 74.92 As.upf
Rh 102.91 Rh.upf
CELL_PARAMETERS angstrom
4.988 -8.639 0.000
4.988 8.639 0.000
0.000 0.000 3.925
ATOMIC_POSITIONS crystal
Dy 0.333 0.667 0.749
Dy 0.667 0.333 0.251
As 0.000 0.000 0.586
As 0.880 0.593 0.752
As 0.407 0.287 0.752
As 0.713 0.120 0.752
As 0.117 0.405 0.250
As 0.595 0.712 0.250
As 0.288 0.883 0.250
Rh 0.618 0.552 0.751
Rh 0.448 0.066 0.751
Rh 0.934 0.382 0.751
Rh 0.382 0.449 0.251
Rh 0.551 0.933 0.251
Rh 0.067 0.618 0.251
Rh 0.116 0.847 0.752
Rh 0.153 0.269 0.752
Rh 0.731 0.884 0.752
Rh 0.887 0.146 0.251
Rh 0.854 0.741 0.251
Rh 0.259 0.113 0.251
```

Entry from the Materials Project: an optimized crystal structure of LiCaH3 (PBE). Values from VASP.

Summary:
The size of the total moment is 0.0 μB/f.u. Its formation energy is -0.581 eV per atom. The density comes out at 1.706 g cm⁻³. Its crystal system is trigonal. As for the corrected total energy (MP2020 scheme): -34.0 eV/cell. The value obtained for the total energy is -3.292 eV/atom.

Geometry as Quantum ESPRESSO input:
```
&SYSTEM
  ibrav = 0, nat = 10, ntyp = 3
/
ATOMIC_SPECIES
Li 6.94 Li.upf
Ca 40.08 Ca.upf
H 1.01 H.upf
CELL_PARAMETERS angstrom
-0.197 4.457 -2.511
-4.367 2.672 0.053
-0.201 4.346 2.699
ATOMIC_POSITIONS crystal
Li 0.000 0.000 0.000
Li 0.500 0.500 0.500
Ca 0.250 0.250 0.250
Ca 0.750 0.750 0.750
H 0.698 0.802 0.250
H 0.250 0.698 0.802
H 0.802 0.250 0.698
H 0.750 0.302 0.198
H 0.198 0.750 0.302
H 0.302 0.198 0.750
```

Q: Which of these has the lowest density?
A: LiCaH3

Q: What is the total energy in the second record?
A: -6.891 eV/atom

Q: Among the records above, which one has the highest density?
A: Dy2As7Rh12

Q: Among the records above, which one has the highest density?
A: Dy2As7Rh12